1.
First-principles (GGA+U) data for a relaxed structure of ZnNiP4O12, as listed in Materials Project.

```
36
Lattice="0.7618 -7.0200 1.6889 2.1631 -0.6280 6.9022 -7.2315 -3.3596 6.0631" Properties=species:S:1:pos:R:3 pbc="T T T"
O -1.8490 -3.6931 4.0214
O -0.5439 -1.6171 3.2382
O 0.0846 -6.6545 9.2458
Ni 1.0816 -0.3140 3.4511
O -5.2553 -4.4173 7.8324
O -1.4465 -7.3011 7.3859
O -2.0711 -6.4822 5.0488
P -1.6845 -3.8481 8.3537
P -0.5448 -3.0439 3.7662
O 0.6590 -6.1359 3.8903
O -4.3912 -4.3531 5.4084
O -0.6878 -4.8761 7.6079
Zn -3.3303 -3.4660 11.1899
O 0.3476 -3.8879 2.7187
O 0.2985 -3.0765 5.1363
P -4.1371 -4.6167 6.8850
P 1.6580 -2.4495 5.7403
P -0.1695 -6.3909 7.7692
O -3.6187 -6.1315 7.0463
O -4.6051 -7.9311 9.5179
O -3.2693 -8.4830 6.1906
O -2.8601 -3.7065 7.2683
P -2.6221 -7.1595 6.3005
O 1.4087 -1.9576 7.1110
P -3.7618 -7.9637 10.8880
O -3.7627 -9.3905 11.4159
O -2.4575 -7.3145 10.6328
Zn -0.9763 -7.5416 3.4643
O -4.9656 -4.8717 10.7639
O -4.6542 -7.1197 11.9354
O 0.9487 -6.5903 6.8218
O -2.2355 -4.5254 9.6054
O -1.0373 -2.5246 8.4636
Ni -3.2348 -5.1898 3.8760
O -5.7153 -9.0500 7.5432
P -5.9645 -8.5582 8.9139
```

Calculated values
space-group type = C2/c
energy with MP2020 corrections = -263.63 eV for the cell shown
VASP energy = -6.72 eV/atom

=====

2.
First-principles (GGA+U) data for a relaxed structure of ZnNi3P4O14, as listed in Materials Project.

```
44
Lattice="7.4935 0.0000 0.0000 0.0000 7.2373 0.0000 0.0000 3.6117 8.7691" Properties=species:S:1:pos:R:3 pbc="T T T"
P 4.3154 3.7155 1.7857
O 6.5820 5.1703 7.6566
O 1.6185 3.2249 7.5418
O 2.1282 1.4190 3.1572
Ni 0.0000 0.0000 0.0000
Zn 3.7468 5.4245 4.3845
O 5.3151 3.0925 0.8071
O 0.9115 5.6787 1.1125
O 3.9928 5.1874 1.6714
O 6.6300 9.0774 7.9032
O 2.8809 3.0568 1.5029
O 2.8352 7.4846 5.4971
Zn 0.0000 3.6187 0.0000
O 4.6102 7.2716 3.5186
O 6.6277 5.9864 2.8816
O 5.8750 7.6241 1.2273
O 5.3653 9.4300 5.6118
Ni 2.7844 5.9745 0.1973
P 5.9358 7.4095 2.7425
P 0.5686 5.3277 2.5989
P 1.5577 3.4395 6.0266
O 0.8658 4.8627 5.8875
O 4.6583 3.3644 3.2720
P 6.9249 5.5213 6.1702
O 0.2461 3.8558 2.7131
P 5.3045 9.2154 7.1271
O 4.3773 10.2206 7.8097
O 2.1784 7.7566 7.9620
O 7.2474 6.9932 6.0559
O 0.8635 1.7716 0.8659
P 3.1782 7.1336 6.9834
Ni 0.9623 7.7803 4.5818
Ni 6.5312 3.0687 4.1873
O 1.5683 5.9507 3.5775
O 3.5007 5.6617 7.0977
O 3.1162 0.6284 0.9594
P 2.1890 1.6336 1.6420
O 4.6126 7.7922 7.2662
Ni 3.7468 1.8058 4.3845
O 6.8629 8.4148 3.4251
O 0.6306 2.4342 5.3440
O 2.8833 3.5774 5.2504
Ni 4.7091 4.8745 8.5718
O 5.9252 4.8983 5.1916
```

Calculated values
space-group type = P2_1/c
energy with MP2020 corrections = -316.85 eV for the cell shown
VASP energy = -6.42 eV/atom

=====

3.
First-principles (GGA+U) data for a relaxed structure of NiPbO3, as listed in Materials Project.

```
5
Lattice="3.8106 0.0000 0.0000 0.0000 3.8106 0.0000 0.0000 0.0000 3.8106" Properties=species:S:1:pos:R:3 pbc="T T T"
Ni 1.9053 1.9053 1.9053
O 1.9053 1.9053 0.0000
O 1.9053 0.0000 1.9053
O 0.0000 1.9053 1.9053
Pb 0.0000 0.0000 0.0000
```

Calculated values
space-group type = Pm-3m
energy with MP2020 corrections = -28.95 eV for the cell shown
VASP energy = -4.87 eV/atom

=====

4.
First-principles (GGA+U) data for a relaxed structure of NiPbO3, as listed in Materials Project.

```
10
Lattice="-3.0779 1.3634 4.2829 -1.5118 -4.1075 -3.2432 -0.0988 -3.5295 4.5162" Properties=species:S:1:pos:R:3 pbc="T T T"
Ni -4.5835 -2.7518 1.0465
O -2.5154 -2.6156 1.0795
Pb -2.4601 -5.4044 3.4163
O -1.7717 -5.5081 1.3651
O -3.2578 -0.6747 3.9168
O -3.0614 -1.7719 6.7021
O -2.1953 -3.3765 4.1302
O -1.8630 -4.1255 -1.1948
Ni -3.8770 -2.4628 4.9262
Pb -1.6546 -1.5858 2.7799
```

Calculated values
space-group type = R3c
energy with MP2020 corrections = -61.57 eV for the cell shown
VASP energy = -5.24 eV/atom

=====

5.
First-principles (GGA+U) data for a relaxed structure of Ni9Te5Pb6O30, as listed in Materials Project.

```
100
Lattice="5.2196 -9.0406 0.0000 5.2196 9.0406 0.0000 0.0000 0.0000 13.7128" Properties=species:S:1:pos:R:3 pbc="T T T"
Pb 6.3986 0.0000 6.8564
Ni 2.6553 -4.4940 10.2846
Ni 7.7838 4.4940 3.4282
Ni 5.2196 3.0135 12.1816
Ni 7.7998 -1.5238 10.2846
Pb 3.8439 -6.6578 6.8564
O 6.0572 -4.5143 9.0957
O 6.8874 6.0087 11.3559
O 4.5532 -1.6250 6.8923
O 4.3307 4.6629 11.3906
O 3.3467 2.9586 9.1785
Ni 5.2196 -3.0135 5.3252
O 0.9887 -1.5117 4.5125
O 6.9796 0.0715 11.3559
O 6.9381 -2.9885 11.4734
Ni 5.2196 -5.9930 10.2846
Ni 5.2196 0.0526 3.4282
O 5.8860 1.6250 0.0359
Ni 7.7838 -4.4940 10.2846
O 4.2356 1.4190 11.3906
O 6.0572 4.5143 4.6170
Ni 0.0000 0.0000 3.4282
O 3.5010 -2.9885 9.0957
Te 5.2196 -3.0135 8.2105
O 6.7552 -3.1306 6.8923
O 4.3307 -4.6629 2.3221
O 6.1085 -4.6629 4.5342
Pb 2.0203 -3.4992 6.8564
O 8.6475 2.9603 9.2133
O 0.9887 1.5117 9.2003
Ni 2.6393 -1.5238 10.2846
O 6.1005 -1.5377 9.0957
Ni 5.2196 -3.0135 1.5312
Te 5.2196 -3.0135 12.3587
Ni 5.2196 -0.0526 10.2846
O 3.5517 -6.0087 4.4995
O 6.2036 -1.4190 4.5342
Te 7.8170 -1.5139 3.4282
Te 5.2196 -6.0128 3.4282
Ni 2.6393 1.5238 3.4282
O 6.0888 4.2849 0.0359
Ni 5.2196 5.9930 3.4282
O 4.3819 -4.5143 11.4734
O 3.3467 -2.9586 4.5342
O 4.3386 -1.5377 11.4734
O 3.5010 2.9885 4.6170
O 1.7917 2.9603 11.3559
O 3.4595 -0.0715 4.4995
Pb 2.7513 0.0000 6.8564
O 6.1085 4.6629 9.1785
O 4.3386 1.5377 2.2393
O 6.9381 2.9885 2.2393
O 6.7552 3.1306 6.8204
Ni 2.6553 4.4940 3.4282
Pb 4.0405 0.0000 0.0000
O 8.6356 0.1004 9.2003
Te 5.2196 3.0135 5.5023
Pb 1.3757 2.3827 0.0000
O 6.0888 -4.2849 13.6768
O 4.5532 1.6250 6.8204
O 6.2036 1.4190 9.1785
Pb 3.8439 6.6578 6.8564
O 7.0925 2.9586 11.3906
O 4.4047 -7.4284 2.3439
O 1.8036 -0.1004 2.3439
O 4.3503 -4.2849 6.8923
O 5.8860 -1.6250 13.6768
Pb 3.1993 5.5414 0.0000
Pb 7.6878 0.0000 0.0000
Ni 7.7998 1.5238 3.4282
Ni 0.0000 0.0000 10.2846
Te 7.8170 1.5139 10.2846
O 9.4504 -1.5117 2.3439
O 6.1005 1.5377 4.6170
Pb 2.0203 3.4992 6.8564
Pb 3.1993 -5.5414 0.0000
O 1.8036 0.1004 11.3689
Te 5.2196 6.0128 10.2846
O 4.4047 7.4284 11.3689
O 6.9796 -0.0715 2.3569
O 6.0344 -7.4284 4.5125
O 1.7917 -2.9603 2.3569
Te 2.6221 1.5139 10.2846
O 4.2356 -1.4190 2.3221
Ni 5.2196 3.0135 8.3876
O 3.4595 0.0715 9.2133
O 7.0925 -2.9586 2.3221
Te 2.6221 -1.5139 3.4282
Te 5.2196 3.0135 1.3541
O 3.6839 3.1306 0.0359
O 8.6356 -0.1004 4.5125
O 6.0344 7.4284 9.2003
O 3.5517 6.0087 9.2133
O 6.8874 -6.0087 2.3569
O 4.3819 4.5143 2.2393
O 3.6839 -3.1306 13.6768
O 8.6475 -2.9603 4.4995
O 9.4504 1.5117 11.3689
O 4.3503 4.2849 6.8204
Pb 1.3757 -2.3827 0.0000
```

Calculated values
space-group type = P6_322
energy with MP2020 corrections = -624.19 eV for the cell shown
VASP energy = -5.37 eV/atom

=====

6.
First-principles (GGA+U) data for a relaxed structure of V2Ni2PbO8, as listed in Materials Project.

```
52
Lattice="-6.2157 6.2157 4.2371 6.2157 -6.2157 4.2371 6.2157 6.2157 -4.2371" Properties=species:S:1:pos:R:3 pbc="T T T"
O 4.2554 2.2694 0.6569
O 4.3796 0.0588 2.5071
V 5.2157 3.2563 -0.4385
O 1.9603 3.9464 4.8940
O 6.2745 4.3796 0.3886
O 4.1875 4.0961 -1.6011
Ni 2.1299 -2.0680 4.8104
O 2.1638 0.0270 0.8212
O -0.0270 4.0519 2.9398
O 8.0518 -0.0588 2.5071
O 8.3353 2.0282 0.5175
O 1.8361 6.2745 2.5071
Ni 8.2837 -2.1299 2.6919
O 6.2428 -2.1638 2.9398
O 2.1196 4.1875 0.5175
Pb 6.2157 0.0000 4.1751
V 9.1751 1.0001 1.6800
V 2.9594 5.2157 1.6800
O 8.2440 4.0961 2.6360
Ni 4.0858 8.2837 0.5734
O -0.0588 1.8361 4.6257
Ni 4.0858 4.1477 4.8104
O 0.0588 1.8361 0.3886
Pb 0.0000 0.0000 6.2936
V 5.2157 -3.2563 3.7985
Pb 0.0000 0.0000 2.0565
O -1.8361 6.1570 2.5071
Pb 0.0000 6.2157 4.1751
O -0.0588 10.5954 0.3886
V 1.0001 2.9594 3.7985
O -2.1196 4.1875 4.7546
O -3.9464 8.1760 2.7755
O 3.9464 4.2554 2.7754
Ni 2.0680 8.3456 2.6919
O -2.0282 2.1196 6.8731
O 4.2554 -2.2694 4.8940
Ni -2.0680 4.0858 2.6919
Ni 4.1477 2.1299 2.6919
O 2.0282 2.1196 2.6360
O 4.0961 2.0282 4.7546
O 3.9464 8.1760 -1.4616
O 6.2428 2.1638 -1.2973
O 6.1887 2.1638 2.9398
V 1.0001 9.4721 -0.4385
V 3.2563 -1.0001 1.6800
V 3.2563 1.0001 5.9171
O 10.2677 -0.0270 0.8212
O 4.0519 6.2428 0.8212
O 2.2694 -1.9603 2.7754
O 2.1638 -0.0270 5.0583
Ni 2.1299 2.0680 0.5734
O 1.9603 8.4851 0.6569
```

Calculated values
space-group type = I4_1cd
energy with MP2020 corrections = -393.08 eV for the cell shown
VASP energy = -6.48 eV/atom

=====

7.
First-principles (GGA+U) data for a relaxed structure of PrNiO3, as listed in Materials Project.

```
20
Lattice="-1.3846 0.5767 -5.2570 4.7889 -2.2122 -1.5040 -3.2278 -7.0402 0.0779" Properties=species:S:1:pos:R:3 pbc="T T T"
O 0.6188 -0.6508 -1.4794
Ni -0.6923 0.2883 -2.6285
O -0.4423 -8.0250 -5.2038
O 1.9306 -3.0253 -0.8989
O 0.9059 -5.0844 -5.2363
Pr 2.2758 -7.4522 -1.6298
O -0.0347 -8.1818 -2.4859
O 2.9180 -3.5129 -4.0549
O -1.7541 -5.6505 -5.7842
O 0.2112 -0.4940 -4.1973
O -1.1370 -3.4345 -4.1648
Pr -2.0993 -1.2236 -5.0533
Ni 2.3945 -1.1061 -0.7520
O -2.7415 -5.1629 -2.6282
Pr 0.9067 -2.5808 -3.1515
Pr -0.7302 -6.0950 -3.5317
Ni 0.7806 -4.6262 -0.7131
O 1.3135 -5.2413 -2.5184
O -0.7294 -3.5914 -1.4469
Ni -2.3062 -3.2318 -2.5896
```

Calculated values
space-group type = Pnma
energy with MP2020 corrections = -149.81 eV for the cell shown
VASP energy = -6.57 eV/atom

=====

8.
First-principles (GGA+U) data for a relaxed structure of Pr2NiO4, as listed in Materials Project.

```
28
Lattice="5.5838 0.0000 0.0000 0.0000 5.5838 0.0000 0.0000 0.0000 12.2952" Properties=species:S:1:pos:R:3 pbc="T T T"
Ni 1.3959 4.1878 9.2214
O 1.1191 3.9109 7.0198
O 2.7919 0.0000 8.8883
O 2.7919 2.7919 3.0738
O 4.4647 1.6728 7.0198
Ni 4.1878 4.1878 3.0738
O 1.6728 1.1191 5.2754
Pr 4.1043 1.3124 4.7544
O 2.7919 0.0000 2.7407
O 3.9109 1.1191 11.4230
O 1.6728 4.4647 11.4230
O 0.0000 0.0000 3.0738
Pr 4.2713 4.1043 7.5408
Pr 1.4795 1.3124 10.9020
O 0.0000 2.7919 9.5545
O 4.4647 3.9109 0.8722
Pr 4.1043 4.2713 10.9020
Ni 1.3959 1.3959 3.0738
Pr 1.4795 4.2713 4.7544
O 0.0000 0.0000 9.2214
O 0.0000 2.7919 3.4069
Pr 1.3124 1.4795 7.5408
O 3.9109 4.4647 5.2754
O 1.1191 1.6728 0.8722
Ni 4.1878 1.3959 9.2214
Pr 4.2713 1.4795 1.3932
O 2.7919 2.7919 9.2214
Pr 1.3124 4.1043 1.3932
```

Calculated values
space-group type = P4_2/ncm
energy with MP2020 corrections = -223.36 eV for the cell shown
VASP energy = -7.22 eV/atom

=====

Energy of formation
In order: -43.75, -48.90, -4.61, -6.45, -73.64, -25.25, -12.05, -20.70
Unit: eV/f.u.